Entry 1:
Compound: La3BN2O3
Source: the Materials Project database
Functional: PBE
Structure: relaxed

Cell lengths 12.7460, 3.7156, 11.0608 Å; angles 90.00, 90.00, 90.00 degrees
With the nearest neighbours (Å) after each atom.
Space group Pnma (No. 62)
Asymmetric unit:
La: 0.1146 0.2500 0.1112 (multiplicity 4)  2 O 2.29
La: 0.1161 0.7500 0.4175 (multiplicity 4)  2 O 2.37-2.42
La: 0.1275 0.2500 0.7247 (multiplicity 4)  3 O 2.42-2.55, 3 N 2.51-2.66
B: 0.2096 0.7500 0.9184 (multiplicity 4)  1 O 1.45, 2 N 1.46
N: 0.2329 0.2500 0.5325 (multiplicity 4)  1 B 1.46
N: 0.2385 0.2500 0.3004 (multiplicity 4)  1 B 1.46
O: 0.0332 0.7500 0.6097 (multiplicity 4)  3 La 2.37-2.55
O: 0.0539 0.7500 0.2107 (multiplicity 4)  4 La 2.29-2.42
O: 0.0960 0.7500 0.9214 (multiplicity 4)  1 B 1.45

=====

Entry 2:
Compound: ErFeCo
Source: the Materials Project database
Functional: PBE
Structure: relaxed

Cell lengths 4.7717, 5.1277, 7.2948 Å; angles 90.00, 90.00, 90.00 degrees
With the nearest neighbours (Å) after each atom.
Space group Imma (No. 74)
Asymmetric unit:
Er: 0.0000 0.2500 0.1219 (multiplicity 4)  6 Co 2.85-3.04, 6 Fe 2.96-2.98, 4 Er 3.03-3.12
Fe: 0.2500 0.2500 0.7500 (multiplicity 4)  2 Fe 2.39, 4 Co 2.53
Co: 0.0000 0.0000 0.5000 (multiplicity 4)  4 Fe 2.53, 2 Co 2.56

=====

Entry 3:
Compound: ZrScRu2
Source: the Materials Project database
Functional: PBE
Structure: relaxed

Cell lengths 6.4945, 6.4945, 6.4945 Å; angles 90.00, 90.00, 90.00 degrees
With the nearest neighbours (Å) after each atom.
Space group Fm-3m (No. 225)
Asymmetric unit:
Zr: 0.0000 0.0000 0.0000 (multiplicity 4)  8 Ru 2.81
Sc: 0.0000 0.0000 0.5000 (multiplicity 4)  8 Ru 2.81
Ru: 0.2500 0.2500 0.2500 (multiplicity 8)  4 Zr 2.81, 4 Sc 2.81

=====

Entry 4:
Compound: GeF4
Source: the Materials Project database
Functional: PBE
Structure: relaxed

Cell lengths 5.6589, 5.6589, 5.6589 Å; angles 90.00, 90.00, 90.00 degrees
With the nearest neighbours (Å) after each atom.
Space group I-43m (No. 217)
Asymmetric unit:
Ge: 0.0000 0.0000 0.0000 (multiplicity 2)  4 F 1.71
F: 0.1748 0.1748 0.1748 (multiplicity 8)  1 Ge 1.71

Output
The piezoelectric modulus e_max is 0.1 C/m².

=====

Entry 5:
Compound: LiTiP4O12
Source: the Materials Project database
Functional: PBE
Structure: relaxed

Cell lengths 15.3979, 7.8683, 9.1947 Å; angles 90.00, 120.15, 90.00 degrees
With the nearest neighbours (Å) after each atom.
Space group C2/c (No. 15)
Asymmetric unit:
Li: 0.0000 0.0000 0.0000 (multiplicity 4)  2 O 1.96
Ti: 0.0000 0.3167 0.2500 (multiplicity 4)  6 O 2.04-2.08
P: 0.1385 0.4395 0.6430 (multiplicity 8)  4 O 1.50-1.61
P: 0.1478 0.1924 0.1009 (multiplicity 8)  4 O 1.49-1.62
O: 0.0669 0.4845 0.7022 (multiplicity 8)  1 P 1.50
O: 0.0901 0.1078 0.9344 (multiplicity 8)  1 P 1.49
O: 0.0986 0.1725 0.2093 (multiplicity 8)  1 P 1.53
O: 0.1053 0.3074 0.5059 (multiplicity 8)  1 P 1.51
O: 0.1703 0.3900 0.0847 (multiplicity 8)  2 P 1.61-1.62
O: 0.2397 0.3787 0.8030 (multiplicity 8)  2 P 1.59-1.60

Output
The value obtained for the energy above the most stable polymorph in this dataset is 1.388 eV/f.u.

=====

Entry 6:
Compound: GaPH9C3Cl3O
Source: the Materials Project database
Functional: PBE
Structure: relaxed

Cell lengths 8.6051, 10.8622, 13.0440 Å; angles 90.00, 104.62, 90.00 degrees
With the nearest neighbours (Å) after each atom.
Space group Cc (No. 9)
Asymmetric unit:
Ga: 0.0000 0.2487 0.0000 (multiplicity 4)  1 O 1.88
P: 0.3134 0.2562 0.6918 (multiplicity 4)  1 O 1.55
H: 0.0144 0.1141 0.3006 (multiplicity 4)  1 C 1.10
H: 0.0435 0.3122 0.6924 (multiplicity 4)  1 C 1.10
H: 0.0482 0.1858 0.6052 (multiplicity 4)  1 C 1.10
H: 0.0845 0.3395 0.5667 (multiplicity 4)  1 C 1.10
H: 0.2805 0.1676 0.8538 (multiplicity 4)  1 C 1.10
H: 0.2889 0.0529 0.7565 (multiplicity 4)  1 C 1.10
H: 0.3158 0.4333 0.8025 (multiplicity 4)  1 C 1.10
H: 0.3910 0.4673 0.6898 (multiplicity 4)  1 C 1.10
H: 0.4691 0.1273 0.8282 (multiplicity 4)  1 C 1.10
C: 0.1023 0.2750 0.6334 (multiplicity 4)  3 H 1.10
C: 0.3403 0.1400 0.7923 (multiplicity 4)  3 H 1.10
C: 0.3913 0.3993 0.7521 (multiplicity 4)  3 H 1.10
Cl: 0.1328 0.0760 0.0376 (multiplicity 4)  1 Ga 2.19
Cl: 0.1635 0.4009 0.9925 (multiplicity 4)  1 Ga 2.19
Cl: 0.3151 0.2639 0.3505 (multiplicity 4)  1 Ga 2.19
O: 0.4011 0.2122 0.6085 (multiplicity 4)  1 P 1.55

=====

Entry 7:
Compound: LaF3
Source: the Materials Project database
Functional: PBE
Structure: relaxed

Cell lengths 5.8633, 5.8633, 5.8633 Å; angles 90.00, 90.00, 90.00 degrees
With the nearest neighbours (Å) after each atom.
Space group Fm-3m (No. 225)
Asymmetric unit:
La: 0.0000 0.0000 0.0000 (multiplicity 4)  8 F 2.54
F: 0.0000 0.0000 0.5000 (multiplicity 4)  8 F 2.54
F: 0.2500 0.2500 0.2500 (multiplicity 8)  4 F 2.54, 4 La 2.54

=====

Entry 8:
Compound: Ho4CrS7
Source: the Materials Project database
Functional: PBE
Structure: relaxed

Cell lengths 12.3744, 3.7829, 11.3062 Å; angles 90.00, 105.69, 90.00 degrees
With the nearest neighbours (Å) after each atom.
Space group Cm (No. 8)
Asymmetric unit:
Ho: 0.0000 0.0000 0.0000 (multiplicity 2)  6 S 2.72-2.85
Ho: 0.0803 0.5000 0.3548 (multiplicity 2)  6 S 2.65-2.77
Ho: 0.1952 0.5000 0.7997 (multiplicity 2)  6 S 2.66-2.71
Ho: 0.3862 0.0000 0.5935 (multiplicity 2)  7 S 2.68-2.95
Cr: 0.3087 0.5000 0.2172 (multiplicity 2)  6 S 2.43-2.60
S: 0.0339 0.0000 0.7396 (multiplicity 2)  4 Ho 2.70-2.83
S: 0.1627 0.5000 0.0234 (multiplicity 2)  1 Cr 2.43, 3 Ho 2.67-2.72
S: 0.2013 0.0000 0.2860 (multiplicity 2)  2 Cr 2.55, 2 Ho 2.66
S: 0.2296 0.5000 0.5774 (multiplicity 2)  4 Ho 2.66-2.69
S: 0.3576 0.0000 0.8443 (multiplicity 2)  5 Ho 2.71-2.95
S: 0.4205 0.0000 0.1446 (multiplicity 2)  2 Cr 2.60, 3 Ho 2.65-2.84
S: 0.4456 0.5000 0.4249 (multiplicity 2)  1 Cr 2.50, 2 Ho 2.77

=====

What did we get for electronic total energy? Answer: -8.39, -6.90, -9.01, -4.77, -7.27, -4.90, -6.63, -6.51 eV/atom, in the order shown.